# 1
An optimized crystal structure of NaSmMn4O12. Source: the Materials Project database, functional PBE+U.

Cell and atoms, written as extended XYZ:
```
18
Lattice="5.328 0.000 0.000 0.000 5.328 0.000 0.000 0.000 7.770" Properties=species:S:1:pos:R:3 pbc="T T T"
Na 2.664 2.664 3.885
Sm 0.000 0.000 0.000
Mn 0.000 2.664 5.742
Mn 0.000 2.664 2.028
Mn 2.664 0.000 5.742
Mn 2.664 0.000 2.028
O 1.284 1.284 6.002
O 1.284 1.284 1.768
O 4.044 4.044 6.002
O 4.044 4.044 1.768
O 4.044 1.284 6.002
O 4.044 1.284 1.768
O 1.284 4.044 6.002
O 1.284 4.044 1.768
O 0.000 2.664 3.885
O 0.000 2.664 0.000
O 2.664 0.000 3.885
O 2.664 0.000 0.000
```

The calculation puts the size of the total moment at 8.0 μB per formula unit.

---

# 2
An optimized crystal structure of NaSrSmMnO6. Source: the Materials Project database, functional PBE+U.

Cell and atoms, written as extended XYZ:
```
10
Lattice="0.000 -4.158 -4.158 4.158 0.000 -4.158 4.158 -4.158 0.000" Properties=species:S:1:pos:R:3 pbc="T T T"
Na 2.079 -2.079 -2.079
Sr 6.237 -6.237 -6.237
Sm 4.158 -4.158 -4.158
Mn 0.000 0.000 0.000
O 1.897 -4.158 -4.158
O 6.420 -4.158 -4.158
O 4.158 -6.420 -4.158
O 4.158 -1.897 -4.158
O 4.158 -4.158 -6.420
O 4.158 -4.158 -1.897
```

The calculation puts the size of the total moment at 1.0 μB per formula unit.

---

# 3
An optimized crystal structure of NaTbMn4O12. Source: the Materials Project database, functional PBE+U.

Cell and atoms, written as extended XYZ:
```
18
Lattice="5.329 0.000 0.000 0.000 5.329 0.000 0.000 0.000 7.641" Properties=species:S:1:pos:R:3 pbc="T T T"
Na 2.665 2.665 3.820
Tb 0.000 0.000 0.000
Mn 0.000 2.665 5.657
Mn 0.000 2.665 1.984
Mn 2.665 0.000 5.657
Mn 2.665 0.000 1.984
O 1.265 1.265 5.911
O 1.265 1.265 1.730
O 4.064 4.064 5.911
O 4.064 4.064 1.730
O 4.064 1.265 5.911
O 4.064 1.265 1.730
O 1.265 4.064 5.911
O 1.265 4.064 1.730
O 0.000 2.665 3.820
O 0.000 2.665 0.000
O 2.665 0.000 3.820
O 2.665 0.000 0.000
```

The calculation puts the size of the total moment at 8.0 μB per formula unit.

---

# 4
An optimized crystal structure of Na4Ti5Mn4O18. Source: the Materials Project database, functional PBE+U.

Cell and atoms, written as extended XYZ:
```
62
Lattice="-2.714 0.833 0.777 -3.639 -6.749 -5.483 0.647 -16.911 20.387" Properties=species:S:1:pos:R:3 pbc="T T T"
Na 0.023 -17.947 19.317
Na -0.635 -4.850 2.981
Na -0.599 -13.840 12.741
Na -0.881 -10.568 8.249
Na -2.112 -13.093 6.655
Na -2.393 -9.821 2.163
Na -2.358 -18.811 11.923
Na -3.015 -5.714 -4.413
Ti 0.323 -8.456 10.194
Ti 0.013 -1.876 2.056
Ti -1.334 -14.196 16.132
Ti -2.477 -7.259 4.704
Ti -1.373 -13.502 9.674
Ti -1.820 -3.375 -2.742
Ti -1.619 -10.159 5.230
Ti -3.230 -15.569 10.977
Ti -4.373 -8.632 -0.451
Ti -3.005 -21.785 12.848
Mn 0.093 -5.391 6.105
Mn -1.490 -10.519 11.646
Mn -2.604 -3.529 0.261
Mn -1.192 -16.831 13.875
Mn -1.800 -6.830 1.029
Mn -3.103 -19.299 15.420
Mn -4.217 -12.309 4.035
Mn -3.086 -18.270 8.799
O -3.324 -13.841 3.219
O 0.332 -9.820 11.685
O -0.844 -15.658 19.411
O -1.449 -2.598 3.298
O -1.255 -11.520 13.541
O 0.183 -13.518 15.128
O -1.539 -8.993 9.838
O -1.754 -5.535 5.380
O -0.062 -15.672 16.582
O -0.736 -3.023 0.667
O -0.642 -11.903 10.516
O -0.970 -8.301 5.508
O -2.084 -15.202 14.590
O -2.670 -2.035 -1.573
O -1.336 -7.279 3.133
O -2.737 -5.213 1.602
O -2.558 -13.711 11.333
O -2.797 -10.224 6.762
O -1.729 -4.587 -1.127
O -1.263 -19.074 16.031
O -2.910 -12.604 8.919
O -3.148 -9.118 4.348
O -2.970 -17.615 14.079
O -1.656 -16.382 11.771
O -3.037 -20.794 17.253
O -3.623 -7.627 1.091
O -2.023 -15.360 9.397
O -2.351 -11.758 4.388
O -2.256 -20.638 14.237
O -2.931 -7.989 -1.678
O -3.953 -17.293 10.301
O -4.168 -13.835 5.843
O -3.175 -10.143 -0.224
O -4.452 -11.308 2.139
O -4.258 -20.231 12.383
O -4.863 -7.170 -3.730
```

The calculation puts the size of the total moment at 16.0 μB per formula unit.

---

# 5
An optimized crystal structure of Na6Mn2V4O15. Source: the Materials Project database, functional PBE+U.

Cell and atoms, written as extended XYZ:
```
54
Lattice="-4.917 2.655 1.499 2.751 6.491 -2.474 -6.621 -3.291 -15.889" Properties=species:S:1:pos:R:3 pbc="T T T"
Na -3.870 4.361 -4.115
Na -4.917 1.494 -12.750
Na -5.336 1.165 -2.850
Na -6.201 -1.801 -11.540
Na -1.197 5.708 -8.822
Na -1.660 0.378 -0.897
Na -7.589 0.147 -8.043
Na -7.127 5.477 -15.968
Na -2.543 2.164 -7.468
Na -0.090 3.801 -2.319
Na -6.243 3.690 -9.397
Na -8.697 2.054 -14.546
Mn -4.289 5.493 -7.234
Mn -3.565 3.292 -0.961
Mn -4.497 0.362 -9.630
Mn -5.221 2.563 -15.904
V -2.889 3.686 -10.311
V -6.799 -0.777 -15.232
V -5.897 2.169 -6.554
V -1.987 6.632 -1.632
V -0.943 4.551 -5.731
V -2.005 1.584 -3.960
V -7.843 1.304 -11.133
V -6.782 4.270 -12.905
O -2.698 4.889 -11.529
O -7.117 -1.913 -13.976
O -6.089 0.965 -5.336
O -1.670 7.767 -2.888
O -3.690 2.198 -10.793
O -5.782 0.594 -14.816
O -5.096 3.657 -6.072
O -3.004 5.261 -2.049
O -1.276 3.261 -9.732
O 0.615 1.639 -0.656
O -7.511 2.594 -7.132
O -9.402 4.216 -16.209
O -3.749 4.419 -8.970
O -1.724 3.080 0.048
O -5.037 1.436 -7.895
O -7.063 2.775 -16.913
O -2.407 5.322 -6.226
O -3.040 2.162 -2.703
O -6.379 0.532 -10.639
O -5.747 3.693 -14.162
O -1.524 3.094 -4.830
O -7.263 2.760 -12.034
O -4.937 6.588 -5.552
O -5.449 3.563 -1.872
O -3.849 -0.733 -11.313
O -3.338 2.291 -14.993
O -0.012 5.456 -4.655
O -2.770 0.590 -5.086
O -8.775 0.399 -12.210
O -6.016 5.265 -11.778
```

The calculation puts the size of the total moment at 10.0 μB per formula unit.

---

# 6
An optimized crystal structure of NaYMnWO6. Source: the Materials Project database, functional PBE+U.

Cell and atoms, written as extended XYZ:
```
20
Lattice="-4.228 2.755 -2.126 -1.658 -4.675 -2.762 -4.500 -2.107 6.269" Properties=species:S:1:pos:R:3 pbc="T T T"
Na -2.298 -2.752 -2.569
Na -8.047 -1.158 4.020
Y -4.770 -4.235 0.270
Y -5.903 -0.600 0.634
Mn -5.571 -2.085 -2.232
Mn -4.916 -2.224 3.446
W -7.905 -3.091 0.996
W -2.546 -1.120 0.277
O -5.528 -0.070 2.911
O -4.179 -2.042 -0.397
O -3.818 0.417 0.668
O -6.000 -2.842 1.660
O -5.701 0.072 -1.788
O -5.303 -5.839 2.142
O -8.153 -1.319 1.699
O -2.947 -4.720 -1.506
O -7.147 -2.073 -0.667
O -3.158 -1.725 2.184
O -8.583 -3.999 2.481
O -1.999 -0.579 -1.426
```

The calculation puts the size of the total moment at 5.0 μB per formula unit.

---

# 7
An optimized crystal structure of Mn3NbNi2P6O24. Source: the Materials Project database, functional PBE+U.

Cell and atoms, written as extended XYZ:
```
36
Lattice="7.374 -4.352 0.000 7.374 4.352 0.000 4.806 0.000 7.087" Properties=species:S:1:pos:R:3 pbc="T T T"
Mn 2.837 0.000 1.028
Mn 6.990 0.000 2.533
Mn 12.576 0.000 4.558
Nb 16.763 0.000 6.075
Ni 0.087 0.000 0.032
Ni 9.794 0.000 3.550
P 8.019 -3.048 3.168
P 7.245 1.737 5.303
P 9.044 1.311 0.339
P 10.467 -1.233 6.764
P 12.258 -1.802 1.822
P 11.530 3.035 3.829
O 5.597 -0.913 3.616
O 6.629 -0.836 0.768
O 8.399 -3.689 1.801
O 6.090 1.749 2.254
O 16.307 0.733 4.330
O 8.321 -1.532 3.162
O 6.713 0.833 6.453
O 7.939 0.886 4.215
O 9.004 -0.884 7.022
O 8.844 0.647 1.720
O 10.658 -2.825 6.625
O 11.071 -2.619 1.319
O 15.764 -1.652 5.828
O 8.890 2.856 0.445
O 10.779 -0.657 5.347
O 15.332 0.920 7.021
O 11.665 -0.845 2.902
O 12.819 -0.836 0.662
O 11.278 1.502 3.972
O 10.550 3.503 2.758
O 13.454 -1.757 4.851
O 11.152 3.662 5.263
O 12.924 0.858 6.315
O 13.961 0.899 3.454
```

The calculation puts the size of the total moment at 16.0 μB per formula unit.

---

# 8
An optimized crystal structure of Mn3Nb2O9. Source: the Materials Project database, functional PBE+U.

Cell and atoms, written as extended XYZ:
```
28
Lattice="2.635 -4.564 0.000 2.635 4.564 0.000 0.000 0.000 14.602" Properties=species:S:1:pos:R:3 pbc="T T T"
Mn 2.635 -1.521 9.972
Mn 2.635 -1.521 14.274
Mn 2.635 -1.521 6.974
Mn 2.635 1.521 7.384
Mn 2.635 1.521 0.083
Mn 2.635 -1.521 2.672
Nb 0.000 0.000 12.523
Nb 0.000 0.000 2.124
Nb 0.000 0.000 9.425
Nb 0.000 0.000 5.222
O 1.811 -0.162 1.329
O 3.628 0.087 13.443
O 3.090 -3.135 3.562
O 1.010 -1.108 3.562
O 4.224 -1.488 1.329
O 3.458 -0.162 8.630
O 2.180 -3.135 10.863
O 0.896 1.378 13.443
O 1.890 3.098 6.142
O 1.046 -1.488 8.630
O 1.465 -0.321 10.863
O 3.400 -2.914 8.630
O 3.805 -0.321 3.562
O 3.380 3.098 13.443
O 1.869 -2.914 1.329
O 4.373 1.378 6.142
O 1.642 0.087 6.142
O 4.260 -1.108 10.863
```

The calculation puts the size of the total moment at 13.0 μB per formula unit.

---

# 9
An optimized crystal structure of Mn3Nb6O11. Source: the Materials Project database, functional PBE+U.

Cell and atoms, written as extended XYZ:
```
40
Lattice="-3.262 -4.231 3.072 -7.266 11.259 7.790 -2.143 2.288 -5.306" Properties=species:S:1:pos:R:3 pbc="T T T"
Mn -3.959 5.103 -3.358
Mn -8.593 6.781 6.395
Mn -7.711 8.165 3.056
Mn -5.450 8.444 5.842
Mn -4.960 1.152 2.500
Mn -4.078 2.536 -0.839
Nb -5.410 6.077 -0.694
Nb -9.043 11.707 3.201
Nb -7.162 3.806 0.955
Nb -10.795 9.436 4.850
Nb -4.260 4.849 2.154
Nb -7.893 10.479 6.049
Nb -4.778 -1.162 -0.493
Nb -8.411 4.468 3.402
Nb -1.876 -0.119 0.706
Nb -5.509 5.510 4.601
Nb -3.628 -2.390 2.355
Nb -7.261 3.239 6.250
O -5.047 4.037 0.200
O -8.680 9.666 4.095
O -3.991 -0.350 1.461
O -7.624 5.280 5.356
O -3.774 0.173 -3.770
O -5.264 3.514 5.431
O -2.702 -0.971 -1.117
O -6.335 4.658 2.778
O -4.334 -3.086 0.419
O -4.704 6.774 1.242
O -5.574 0.640 4.428
O -9.207 6.270 8.323
O -3.840 2.888 2.796
O -7.473 8.518 6.691
O -6.712 1.856 1.609
O -10.345 7.486 5.504
O -2.326 1.831 0.052
O -5.959 7.461 3.947
O -5.198 0.799 -1.135
O -8.831 6.429 2.760
O -3.464 3.047 -2.767
O -7.097 8.676 1.128
```

---

# 10
An optimized crystal structure of MnNb2O6. Source: the Materials Project database, functional PBE+U.

Cell and atoms, written as extended XYZ:
```
36
Lattice="5.148 0.000 0.000 0.000 5.897 0.000 0.000 0.000 14.651" Properties=species:S:1:pos:R:3 pbc="T T T"
Mn 3.861 3.989 0.000
Mn 1.287 4.856 7.326
Mn 1.287 1.908 0.000
Mn 3.861 1.040 7.326
Nb 1.241 4.827 12.275
Nb 3.815 4.018 9.702
Nb 1.334 4.827 2.376
Nb 3.908 4.018 4.949
Nb 1.241 1.879 9.702
Nb 3.815 1.070 12.275
Nb 1.334 1.879 4.949
Nb 3.908 1.070 2.376
O 4.697 2.189 10.909
O 2.123 0.760 11.067
O 3.025 2.189 3.742
O 0.451 0.760 3.584
O 0.451 3.708 3.742
O 3.025 5.137 3.584
O 2.123 3.708 10.909
O 4.697 5.137 11.067
O 4.656 2.252 1.190
O 2.082 0.696 6.135
O 3.066 2.252 13.461
O 0.492 0.696 8.516
O 4.835 5.306 1.451
O 2.261 3.539 5.875
O 2.888 5.306 13.200
O 0.313 3.539 8.776
O 0.313 0.590 13.200
O 2.888 2.358 8.776
O 2.261 0.590 1.451
O 4.835 2.358 5.875
O 4.656 5.201 6.135
O 2.082 3.644 1.190
O 3.066 5.201 8.516
O 0.492 3.644 13.461
```

---

# 11
An optimized crystal structure of MnNb3O6. Source: the Materials Project database, functional PBE+U.

Cell and atoms, written as extended XYZ:
```
40
Lattice="-4.301 -3.951 3.130 -0.664 -6.674 -2.324 5.910 -3.945 10.142" Properties=species:S:1:pos:R:3 pbc="T T T"
Mn 1.535 -6.309 4.700
Mn -3.214 -2.952 2.338
Mn 4.158 -11.619 8.610
Mn -0.590 -8.261 6.247
Nb 0.127 -6.775 1.413
Nb 3.414 -5.411 7.646
Nb -2.469 -9.160 3.302
Nb 0.818 -7.796 9.535
Nb 0.315 -3.904 2.514
Nb 2.937 -9.214 6.422
Nb -1.993 -5.357 4.526
Nb 0.631 -10.666 8.435
Nb -1.203 -11.426 4.960
Nb 2.084 -10.061 11.192
Nb -1.139 -4.510 -0.245
Nb 2.148 -3.145 5.989
O -3.392 -5.116 2.905
O -0.769 -10.426 6.814
O 1.714 -4.145 4.135
O 4.337 -9.455 8.044
O -1.210 -3.184 1.332
O 1.413 -8.492 5.241
O -0.468 -6.077 5.707
O 2.155 -11.388 9.616
O -1.694 -6.274 0.646
O 1.593 -4.910 6.880
O 1.274 -7.895 2.674
O 4.561 -6.530 8.907
O -1.270 -3.524 3.955
O 1.353 -8.834 7.863
O -2.332 -7.504 4.484
O 0.290 -12.814 8.393
O -0.648 -9.661 4.069
O 2.639 -8.297 10.302
O -3.616 -8.040 2.042
O -0.329 -6.676 8.274
O -0.408 -5.736 3.085
O 2.215 -11.046 6.994
O 0.654 -1.757 2.555
O 3.278 -7.067 6.465
```

The calculation puts the size of the total moment at 0.0 μB per formula unit.

---

Number 1: energy of formation -2892 kJ/mol of formula units. Number 2: energy of formation -2243 kJ/mol of formula units. Number 3: energy of formation -2894 kJ/mol of formula units. Number 4: energy of formation -8170 kJ/mol of formula units. Number 5: energy of formation -5970 kJ/mol of formula units. Number 6: energy of formation -2586 kJ/mol of formula units. Number 7: energy of formation -8376 kJ/mol of formula units. Number 8: energy of formation -3320 kJ/mol of formula units. Number 9: energy of formation -4729 kJ/mol of formula units. Number 10: energy of formation -2494 kJ/mol of formula units. Number 11: energy of formation -2526 kJ/mol of formula units.